This record from Materials Project describes a geometry-optimized Li3CrF6 structure. The functional is GGA+U.

Output
DFT total energy in eV/atom: -5.32
Total energy after the MP2020 corrections in eV/atom: -5.801
DFT formation energy in meV/atom: -3114
E above lowest polymorph in kcal/mol of atoms: 0.87

Cell: 4.8509 4.8509 8.9093 Å, 90.00 90.00 90.00°
Closest atoms and distances in Å follow each position.
Space group P-4n2 (No. 118)
Unique sites:
Li 0.0000 0.0000 0.0000 [2 per cell]  4 F 1.87
Li 0.0000 0.5000 0.0992 [4 per cell]  6 F 1.99-2.13
Cr 0.0000 0.5000 0.7500 [2 per cell]  6 F 1.96
F 0.1826 0.2986 0.9120 [8 per cell]  1 Li 1.87, 1 Cr 1.96
F 0.2142 0.2858 0.2500 [4 per cell]  1 Cr 1.96, 2 Li 1.99

=====

This record from Materials Project describes a geometry-optimized Li2CrF6 structure. The functional is GGA+U.

Output
DFT total energy in eV/atom: -5.19
Total energy after the MP2020 corrections in eV/atom: -5.717
DFT formation energy in meV/atom: -2944

Cell: 4.6611 4.6737 10.1038 Å, 90.00 117.09 90.00°
Closest atoms and distances in Å follow each position.
Space group P2_1/c (No. 14)
Unique sites:
Li 0.1606 0.0187 0.1658 [4 per cell]  6 F 2.00-2.13
Cr 0.5000 0.0000 0.5000 [2 per cell]  6 F 1.85-1.87
F 0.1558 0.1929 0.3488 [4 per cell]  1 Cr 1.87, 2 Li 2.03-2.08
F 0.2212 0.7197 0.5004 [4 per cell]  1 Cr 1.85, 1 Li 2.04
F 0.4601 0.1885 0.6527 [4 per cell]  1 Cr 1.86, 1 Li 2.00

=====

This record from Materials Project describes a geometry-optimized Li4CrF6 structure. The functional is GGA+U.

Output
DFT total energy in eV/atom: -5.20
Total energy after the MP2020 corrections in eV/atom: -5.630
DFT formation energy in meV/atom: -3014
E above lowest polymorph in kcal/mol of atoms: 0.34

Cell: 15.0264 9.1189 10.4629 Å, 90.00 93.81 90.00°
Closest atoms and distances in Å follow each position.
Space group C2 (No. 5)
Unique sites:
Li 0.0000 0.0000 0.0000 [2 per cell]  4 F 1.95-2.02
Li 0.0000 0.0192 0.5000 [2 per cell]  6 F 1.97-2.19
Li 0.0000 0.4018 0.0000 [2 per cell]  4 F 1.90-2.07
Li 0.0000 0.6873 0.5000 [2 per cell]  4 F 2.01-2.03
Li 0.0210 0.5346 0.2720 [4 per cell]  5 F 2.02-2.21
Li 0.0220 0.8507 0.7702 [4 per cell]  5 F 1.97-2.21
Li 0.1319 0.3608 0.5212 [4 per cell]  3 F 1.89-2.03
Li 0.1568 0.8875 0.2665 [4 per cell]  5 F 1.95-2.14
Li 0.1610 0.0489 0.4724 [4 per cell]  4 F 1.85-1.99
Li 0.1631 0.3318 0.9660 [4 per cell]  4 F 1.86-2.01
Li 0.1650 0.5005 0.7677 [4 per cell]  4 F 1.89-1.98
Li 0.1684 0.0280 0.0281 [4 per cell]  6 F 2.00-2.23
Li 0.1987 0.3436 0.2084 [4 per cell]  4 F 1.87-2.01
Li 0.1995 0.0597 0.7154 [4 per cell]  4 F 1.89-2.01
Cr 0.0012 0.1973 0.7510 [4 per cell]  5 F 2.04-2.26
Cr 0.1549 0.6921 0.0352 [4 per cell]  5 F 2.05-2.28
Cr 0.1743 0.7076 0.5391 [4 per cell]  4 F 2.04-2.06
F 0.0745 0.3644 0.1701 [4 per cell]  3 Li 1.89-2.07, 1 Cr 2.10
F 0.0749 0.0085 0.1599 [4 per cell]  3 Li 1.95-2.04
F 0.0751 0.3909 0.6750 [4 per cell]  3 Li 1.89-2.05
F 0.0758 0.0308 0.6733 [4 per cell]  3 Li 1.90-2.12, 1 Cr 2.08
F 0.0768 0.1958 0.4167 [4 per cell]  2 Li 1.91-2.01, 1 Cr 2.04
F 0.0766 0.6981 0.6672 [4 per cell]  2 Li 1.97-2.03, 1 Cr 2.05
F 0.0786 0.1829 0.9209 [4 per cell]  1 Li 1.90, 1 Cr 2.06
F 0.0792 0.7069 0.1902 [4 per cell]  3 Li 2.02-2.14, 1 Cr 2.05
F 0.0834 0.8833 0.4239 [4 per cell]  3 Li 1.95-2.04
F 0.0920 0.5024 0.9189 [4 per cell]  3 Li 1.90-1.98
F 0.0925 0.8614 0.9367 [4 per cell]  3 Li 1.98-2.09, 1 Cr 2.05
F 0.0956 0.5557 0.4399 [4 per cell]  3 Li 2.01-2.03, 1 Cr 2.06
F 0.2262 0.1947 0.5844 [4 per cell]  2 Li 1.90-1.99, 1 Cr 2.04
F 0.2358 0.5310 0.1254 [4 per cell]  2 Li 1.89-2.01, 1 Cr 2.09
F 0.2392 0.2066 0.0869 [4 per cell]  3 Li 1.91-2.02, 1 Cr 2.11
F 0.2412 0.8762 0.6320 [4 per cell]  2 Li 1.87-2.01, 1 Cr 2.05
F 0.2435 0.8848 0.1327 [4 per cell]  4 Li 1.86-2.00
F 0.2490 0.0135 0.3610 [4 per cell]  3 Li 1.85-2.01

=====

This record from Materials Project describes a geometry-optimized LiCrF4 structure. The functional is GGA+U.

Output
DFT total energy in eV/atom: -5.62
Total energy after the MP2020 corrections in eV/atom: -6.265
DFT formation energy in meV/atom: -3061

Cell: 15.7072 10.2222 7.3632 Å, 90.00 100.70 90.00°
Closest atoms and distances in Å follow each position.
Space group C2/c (No. 15)
Unique sites:
Li 0.1146 0.0034 0.3412 [8 per cell]  3 F 1.88-2.06
Li 0.1878 0.2009 0.1084 [8 per cell]  4 F 1.79-2.00
Cr 0.0025 0.2468 0.4982 [8 per cell]  6 F 1.87-2.01
Cr 0.1750 0.4961 0.5896 [8 per cell]  6 F 1.87-2.01
F 0.0000 0.1726 0.7500 [4 per cell]  2 Cr 2.01
F 0.0000 0.3151 0.2500 [4 per cell]  2 Cr 1.95
F 0.0680 0.4002 0.6012 [8 per cell]  2 Cr 1.95-1.96
F 0.0762 0.1048 0.0985 [8 per cell]  1 Cr 1.95, 2 Li 2.00-2.06
F 0.1012 0.1462 0.4938 [8 per cell]  1 Cr 1.87, 1 Li 1.88
F 0.1097 0.3410 0.9976 [8 per cell]  1 Li 1.96, 2 Cr 2.01
F 0.1738 0.4367 0.3376 [8 per cell]  2 Cr 1.95
F 0.2214 0.1029 0.9128 [8 per cell]  2 Li 1.91-1.99, 1 Cr 1.96
F 0.2475 0.3568 0.6800 [8 per cell]  1 Li 1.79, 1 Cr 1.87

=====

This record from Materials Project describes a geometry-optimized Li2CrF6 structure. The functional is GGA+U.

Output
DFT total energy in eV/atom: -5.19
Total energy after the MP2020 corrections in eV/atom: -5.719
DFT formation energy in meV/atom: -2946

Cell: 4.6773 4.6773 9.0412 Å, 90.00 90.00 90.00°
Closest atoms and distances in Å follow each position.
Space group P4_2/mnm (No. 136)
Unique sites:
Li 0.0000 0.0000 0.1651 [4 per cell]  6 F 2.04-2.09
Cr 0.0000 0.0000 0.5000 [2 per cell]  6 F 1.85-1.87
F 0.1920 0.1920 0.3480 [8 per cell]  1 Cr 1.87, 2 Li 2.04-2.09
F 0.2200 0.2200 0.0000 [4 per cell]  1 Cr 1.85

=====

This record from Materials Project describes a geometry-optimized Li2CrF4 structure. The functional is GGA+U.

Output
DFT total energy in eV/atom: -5.42
Total energy after the MP2020 corrections in eV/atom: -5.973
DFT formation energy in meV/atom: -2954

Cell: 8.8525 4.0807 8.9424 Å, 90.00 92.30 90.00°
Closest atoms and distances in Å follow each position.
Space group Pm (No. 6)
Unique sites:
Li 0.0000 0.0000 0.0000 [1 per cell]  6 F 2.04-2.15
Li 0.0041 0.5000 0.7790 [1 per cell]  5 F 2.05-2.10
Li 0.0420 0.5000 0.2426 [1 per cell]  5 F 2.04-2.15
Li 0.2666 0.0000 0.2585 [1 per cell]  6 F 1.94-2.15
Li 0.4592 0.0000 0.5037 [1 per cell]  3 F 1.84-2.00
Li 0.4897 0.5000 0.2976 [1 per cell]  4 F 1.91-2.04
Li 0.7443 0.5000 0.9915 [1 per cell]  4 F 1.95-2.08
Li 0.7676 0.0000 0.7432 [1 per cell]  4 F 1.92-2.06
Cr 0.0335 0.0000 0.5109 [1 per cell]  4 F 1.98-2.07
Cr 0.2689 0.5000 0.9962 [1 per cell]  4 F 1.98-2.06
Cr 0.5021 0.5000 0.7373 [1 per cell]  4 F 2.01-2.07
Cr 0.7565 0.0000 0.2555 [1 per cell]  4 F 2.04-2.05
F 0.0242 0.5000 0.4814 [1 per cell]  2 Cr 2.06, 1 Li 2.15
F 0.0313 0.0000 0.2352 [1 per cell]  4 Li 2.04-2.11
F 0.2356 0.5000 0.7762 [1 per cell]  1 Cr 1.98, 1 Li 2.05
F 0.2424 0.0000 0.0186 [1 per cell]  2 Cr 2.06, 2 Li 2.15
F 0.2523 0.0000 0.4746 [1 per cell]  2 Li 1.84-1.94, 1 Cr 1.98
F 0.2731 0.5000 0.2248 [1 per cell]  4 Li 2.00-2.06, 1 Cr 2.04
F 0.4955 0.0000 0.2890 [1 per cell]  4 Li 1.96-2.04
F 0.4963 0.5000 0.5119 [1 per cell]  3 Li 1.91-2.07, 1 Cr 2.01
F 0.5211 0.5000 0.9625 [1 per cell]  1 Li 1.98, 1 Cr 2.01
F 0.5370 0.0000 0.7167 [1 per cell]  2 Li 2.00-2.05, 2 Cr 2.07
F 0.7421 0.5000 0.2362 [1 per cell]  2 Cr 2.05, 1 Li 2.19
F 0.7712 0.0000 0.0282 [1 per cell]  1 Cr 2.04, 3 Li 2.05-2.08
F 0.7707 0.5000 0.7758 [1 per cell]  4 Li 1.95-2.07
F 0.8007 0.0000 0.4812 [1 per cell]  2 Cr 2.04-2.07
F 0.9839 0.0000 0.7714 [1 per cell]  4 Li 1.92-2.05
F 0.9981 0.5000 0.0139 [1 per cell]  5 Li 2.04-2.25

=====

This record from Materials Project describes a geometry-optimized Li3CrF6 structure. The functional is GGA+U.

Output
DFT total energy in eV/atom: -5.32
Total energy after the MP2020 corrections in eV/atom: -5.800
DFT formation energy in meV/atom: -3113
E above lowest polymorph in kcal/mol of atoms: 0.90

Cell: 4.8353 4.8368 10.0976 Å, 90.00 118.45 90.00°
Closest atoms and distances in Å follow each position.
Space group Pc (No. 7)
Unique sites:
Li 0.0000 0.2413 0.0000 [2 per cell]  6 F 1.98-2.14
Li 0.2998 0.2532 0.3013 [2 per cell]  6 F 1.98-2.13
Li 0.4032 0.2470 0.9023 [2 per cell]  4 F 1.86
Cr 0.6517 0.2519 0.6508 [2 per cell]  6 F 1.94-1.95
F 0.0150 0.0679 0.8121 [2 per cell]  1 Li 1.86, 1 Cr 1.95
F 0.3079 0.4534 0.4894 [2 per cell]  1 Li 1.86, 1 Cr 1.95
F 0.3684 0.0342 0.1507 [2 per cell]  1 Cr 1.95, 2 Li 1.98-2.01
F 0.6113 0.4306 0.8131 [2 per cell]  1 Li 1.86, 1 Cr 1.94
F 0.6727 0.0518 0.4884 [2 per cell]  1 Li 1.86, 1 Cr 1.95
F 0.9347 0.4630 0.1503 [2 per cell]  1 Cr 1.94, 2 Li 1.98-2.00

=====

This record from Materials Project describes a geometry-optimized Li4CrF6 structure. The functional is GGA+U.

Output
DFT total energy in eV/atom: -5.21
Total energy after the MP2020 corrections in eV/atom: -5.645
DFT formation energy in meV/atom: -3029
E above lowest polymorph in kcal/mol of atoms: 0.00

Cell: 4.9691 4.9602 10.3552 Å, 90.00 115.60 90.00°
Closest atoms and distances in Å follow each position.
Space group P2_1/c (No. 14)
Unique sites:
Li 0.1301 0.0146 0.1410 [4 per cell]  5 F 1.97-2.11
Li 0.2542 0.5147 0.2513 [4 per cell]  4 F 1.88-1.92
Cr 0.5000 0.0000 0.5000 [2 per cell]  4 F 2.05-2.09
F 0.0972 0.2226 0.3118 [4 per cell]  3 Li 1.88-2.02
F 0.2156 0.7066 0.5056 [4 per cell]  2 Li 1.97-1.98, 1 Cr 2.05
F 0.4627 0.1984 0.6701 [4 per cell]  3 Li 1.91-2.10, 1 Cr 2.09